Entry 1:
CsSrBr3 | r²SCAN | relaxed

symmetry = P1 (1)
formation enthalpy at 0 K = -2.2586 eV per atom

a b c (Å): 5.969 5.974 5.970
angles (deg): 89.98 89.95 89.95
Element x y z (fractional)
1 Cs 0.995 0.997 0.994
2 Sr 0.487 0.500 0.497
3 Br 0.484 0.000 0.494
4 Br 0.987 0.505 0.508
5 Br 0.487 0.497 0.997

---

Entry 2:
Cs3Tb2Br9 | r²SCAN | relaxed

symmetry = R-3c (167)
formation enthalpy at 0 K = -2.1724 eV per atom

a b c (Å): 10.275 10.275 10.275
angles (deg): 83.89 83.89 83.89
Element x y z (fractional)
1 Cs 0.750 0.412 0.088
2 Cs 0.088 0.750 0.412
3 Cs 0.250 0.588 0.912
4 Cs 0.412 0.088 0.750
5 Cs 0.912 0.250 0.588
6 Cs 0.588 0.912 0.250
7 Tb 0.350 0.350 0.350
8 Tb 0.650 0.650 0.650
9 Tb 0.850 0.850 0.850
10 Tb 0.150 0.150 0.150
11 Br 0.415 0.766 0.580
12 Br 0.234 0.420 0.585
13 Br 0.407 0.250 0.093
14 Br 0.093 0.407 0.250
15 Br 0.920 0.734 0.085
16 Br 0.915 0.080 0.266
17 Br 0.593 0.750 0.907
18 Br 0.750 0.907 0.593
19 Br 0.580 0.415 0.766
20 Br 0.250 0.093 0.407
21 Br 0.766 0.580 0.415
22 Br 0.734 0.085 0.920
23 Br 0.080 0.266 0.915
24 Br 0.420 0.585 0.234
25 Br 0.585 0.234 0.420
26 Br 0.907 0.593 0.750
27 Br 0.266 0.915 0.080
28 Br 0.085 0.920 0.734